Entry 1:
DFT (meta-GGA r2SCAN) results for a relaxed Ba2YbPaO6 crystal.

Calculated values
The value obtained for the calculated volume is 165.9 Å³/cell. The value obtained for the formation energy is -3671 meV/atom.

a = 6.168 Å, b = 6.168 Å, c = 6.168 Å
α = 60.00°, β = 60.00°, γ = 60.00°
Positions (direct):
Ba1 0.750 0.750 0.750
Ba2 0.250 0.250 0.250
Yb1 0.500 0.500 0.500
Pa1 0.000 0.000 0.000
O1 0.751 0.751 0.249
O2 0.249 0.249 0.751
O3 0.751 0.249 0.751
O4 0.249 0.751 0.249
O5 0.249 0.751 0.751
O6 0.751 0.249 0.249

Entry 2:
DFT (meta-GGA r2SCAN) results for a relaxed PmH crystal.

Calculated values
The value obtained for the calculated volume is 76.4 Å³/cell. The value obtained for the formation energy is -489 meV/atom.

a = 3.818 Å, b = 3.818 Å, c = 6.049 Å
α = 90.00°, β = 90.00°, γ = 120.00°
Positions (direct):
Pm1 0.000 0.000 0.383
Pm2 0.333 0.667 0.883
H1 0.000 0.000 0.992
H2 0.333 0.667 0.492